A relaxed structure of FeSiGe. Source: Materials Project, functional PBE.

a = 6.467 Å, b = 6.467 Å, c = 8.030 Å
α = 90.00°, β = 90.00°, γ = 75.49°
Fractional coordinates of all 24 atoms:
Fe1 0.195 0.805 0.815
Fe2 0.217 0.217 0.000
Fe3 0.283 0.283 0.500
Fe4 0.305 0.695 0.315
Fe5 0.695 0.305 0.685
Fe6 0.717 0.717 0.500
Fe7 0.783 0.783 0.000
Fe8 0.805 0.195 0.185
Si1 0.102 0.643 0.544
Si2 0.143 0.602 0.044
Si3 0.357 0.898 0.544
Si4 0.398 0.857 0.044
Si5 0.602 0.143 0.956
Si6 0.643 0.102 0.456
Si7 0.857 0.398 0.956
Si8 0.898 0.357 0.456
Ge1 0.083 0.170 0.727
Ge2 0.170 0.083 0.273
Ge3 0.330 0.417 0.773
Ge4 0.417 0.330 0.227
Ge5 0.583 0.670 0.773
Ge6 0.670 0.583 0.227
Ge7 0.830 0.917 0.727
Ge8 0.917 0.830 0.273

## Properties
The space group is No. 64. The electronic total energy comes out at -0.4665 Ry per atom. The value obtained for the calculated volume is 13.54 Å³ per atom.